# 1
Crystalline Tl18Ag59Se39 at its relaxed geometry, computed with PBE-GGA.

Results
calculated total energy: -3.1103 eV per atom

```
116
Lattice="-14.786 -0.835 -3.627 5.708 -9.051 10.862 -2.921 9.752 9.660" Properties=species:S:1:pos:R:3 pbc="T T T"
Tl 1.546 -5.407 7.823
Tl -0.459 0.680 14.198
Tl 0.559 -2.196 10.943
Tl -2.328 -3.489 4.716
Tl -3.937 2.838 10.968
Tl -3.301 -0.343 7.905
Tl -3.404 -7.318 8.255
Tl -4.304 -4.119 11.413
Tl -5.429 -0.897 14.287
Tl -6.593 0.689 2.094
Tl -7.743 3.932 5.589
Tl -8.685 7.459 8.912
Tl -7.658 -3.246 5.744
Tl -8.783 0.294 8.947
Tl -9.749 3.637 12.449
Tl -11.668 -1.301 2.568
Tl -12.452 2.128 5.987
Tl -13.624 5.545 9.351
Ag 4.691 -7.310 10.370
Ag 3.453 -3.670 13.205
Ag 2.356 -0.259 16.268
Ag 0.923 -5.519 11.128
Ag -0.053 -2.563 14.071
Ag -1.001 1.026 17.376
Ag 1.048 -3.134 5.236
Ag 0.705 0.171 8.491
Ag 0.028 3.140 12.086
Ag -0.687 -0.784 5.861
Ag -1.527 2.151 8.867
Ag -2.754 5.563 12.266
Ag -0.212 -7.792 9.557
Ag -2.983 -1.876 16.239
Ag -1.468 -5.024 13.078
Ag -1.858 -3.859 8.463
Ag -3.800 2.627 14.888
Ag -1.163 -0.437 1.663
Ag -2.487 2.455 5.227
Ag -3.598 5.554 8.600
Ag -2.431 2.240 2.076
Ag -4.257 5.107 5.540
Ag -5.270 8.273 8.415
Ag -4.059 -1.501 1.874
Ag -5.423 1.801 5.054
Ag -6.470 5.350 8.125
Ag -4.981 -1.096 4.680
Ag -6.772 4.852 11.736
Ag -6.047 1.812 8.330
Ag -4.959 -5.491 5.799
Ag -6.967 1.678 11.446
Ag -6.239 -1.958 8.541
Ag -5.874 -5.061 8.610
Ag -6.732 -2.023 11.506
Ag -7.657 1.329 15.058
Ag -7.970 -5.586 11.686
Ag -7.573 -8.932 8.301
Ag -8.701 -2.284 14.969
Ag -8.866 -6.292 8.743
Ag -9.813 -2.303 11.340
Ag -10.520 0.776 14.397
Ag -9.133 0.360 5.099
Ag -8.198 -2.763 2.006
Ag -10.192 3.895 8.602
Ag -9.918 1.231 0.838
Ag -10.406 4.756 4.040
Ag -11.244 8.220 6.984
Ag -9.411 -5.915 4.712
Ag -10.163 -2.357 7.819
Ag -10.870 0.940 11.247
Ag -11.148 -3.568 5.310
Ag -12.563 -0.087 8.278
Ag -13.876 3.014 11.444
Ag -11.075 -1.029 -0.724
Ag -11.935 2.049 2.835
Ag -13.178 5.205 6.244
Ag -14.747 0.608 -0.001
Ag -14.943 3.669 3.760
Ag -15.964 6.576 6.895
Se -1.473 4.920 4.874
Se -2.690 8.980 8.896
Se 3.389 -4.774 10.766
Se 2.178 -1.215 13.724
Se 1.318 2.099 17.065
Se 0.242 -2.448 7.676
Se -1.704 4.044 14.101
Se -0.507 0.767 10.846
Se -1.594 -5.673 10.376
Se -2.637 -2.639 13.641
Se -3.533 0.818 16.805
Se -2.080 6.946 6.881
Se -2.505 -0.006 4.171
Se -3.728 2.988 7.696
Se -4.755 6.404 10.883
Se -4.223 -3.452 7.340
Se -6.169 3.034 13.771
Se -5.285 -0.170 10.347
Se -6.369 -7.093 10.157
Se -6.908 -3.721 13.507
Se -8.006 -0.483 16.853
Se -3.811 0.406 0.128
Se -6.092 6.996 6.202
Se -4.749 3.524 3.276
Se -5.780 -3.089 3.078
Se -6.800 0.020 6.319
Se -7.755 3.597 9.483
Se -8.351 -3.474 9.252
Se -7.370 -6.628 6.152
Se -8.840 -0.032 12.466
Se -8.569 -0.957 0.082
Se -9.400 2.263 3.269
Se -10.668 5.544 6.637
Se -10.249 -4.226 2.874
Se -11.272 -0.958 5.954
Se -12.085 2.321 9.462
Se -13.409 -2.075 -0.270
Se -15.424 3.992 6.413
Se -14.318 1.095 2.835
```

# 2
Crystalline TlAgSe at its relaxed geometry, computed with PBE-GGA.

Results
calculated total energy: -3.1412 eV per atom

```
12
Lattice="4.701 0.000 0.000 0.000 7.686 0.000 0.000 0.000 8.475" Properties=species:S:1:pos:R:3 pbc="T T T"
Tl 3.526 1.411 0.006
Tl 1.175 6.275 8.469
Tl 3.526 2.432 4.244
Tl 1.175 5.254 4.231
Ag 1.175 0.649 5.723
Ag 3.526 7.037 2.752
Ag 1.175 3.194 1.486
Ag 3.526 4.492 6.989
Se 3.526 4.610 1.564
Se 1.175 3.077 6.911
Se 3.526 6.920 5.802
Se 1.175 0.766 2.673
```

# 3
Crystalline YAgSe2 at its relaxed geometry, computed with PBE-GGA.

Results
calculated total energy: -5.2858 eV per atom
piezoelectric modulus e_max: 0.199 C/m2

```
16
Lattice="-4.104 0.006 1.237 -1.590 -4.104 -5.257 2.379 -11.108 7.952" Properties=species:S:1:pos:R:3 pbc="T T T"
Y -0.746 -9.883 1.603
Y -3.538 -7.373 -0.247
Y -1.249 -10.538 6.737
Y -1.098 -2.615 -0.229
Ag -1.080 -12.616 3.877
Ag -5.066 -4.638 -1.961
Ag -0.901 -7.769 4.510
Ag 0.416 -5.388 1.437
Se -2.878 -11.807 1.943
Se -1.393 -5.449 -0.591
Se 0.240 -10.272 4.272
Se -2.600 -2.881 2.239
Se -2.702 -7.950 2.447
Se -1.536 -9.307 -1.106
Se 1.333 -10.854 7.965
Se -3.727 -2.300 -1.443
```

# 4
Crystalline YAgSe2 at its relaxed geometry, computed with PBE-GGA.

Results
calculated total energy: -5.2446 eV per atom
piezoelectric modulus e_max: 0.066 C/m2

```
8
Lattice="2.581 -7.645 0.720 8.889 -5.292 3.467 4.355 -2.352 5.365" Properties=species:S:1:pos:R:3 pbc="T T T"
Y 6.950 -9.981 6.080
Y 6.376 -8.390 2.301
Ag 5.664 -6.184 5.684
Ag 5.100 -4.512 1.926
Se 11.780 -8.343 6.469
Se 4.045 -6.925 3.099
Se 7.865 -7.675 4.651
Se 9.295 -11.421 5.268
```

# 5
Crystalline YAgSe2 at its relaxed geometry, computed with PBE-GGA.

Results
calculated total energy: -5.1819 eV per atom

```
4
Lattice="-2.288 -1.288 3.165 -3.048 -0.953 -2.591 2.152 -5.277 -0.591" Properties=species:S:1:pos:R:3 pbc="T T T"
Y -1.592 -3.759 -0.008
Ag 0.000 0.000 0.000
Se 1.076 -2.639 -0.296
Se -2.668 -1.120 0.287
```

# 6
Crystalline YAgSe2 at its relaxed geometry, computed with PBE-GGA.

Results
calculated total energy: -5.2451 eV per atom

```
8
Lattice="1.386 -0.908 -5.474 -5.092 2.042 -1.631 4.208 5.035 3.188" Properties=species:S:1:pos:R:3 pbc="T T T"
Y 1.382 -0.897 -5.459
Y -1.351 3.833 -1.017
Ag 2.309 5.591 -0.357
Ag 1.890 2.372 -2.879
Se -0.598 3.517 -3.751
Se 1.120 2.669 -0.152
Se -0.266 6.503 -1.164
Se -2.485 1.182 -0.817
```

# 7
Crystalline YAgSe2 at its relaxed geometry, computed with PBE-GGA.

Results
calculated total energy: -5.2449 eV per atom

```
8
Lattice="6.746 -0.832 2.819 4.408 5.763 -1.224 -6.815 -0.784 2.661" Properties=species:S:1:pos:R:3 pbc="T T T"
Y 0.000 0.000 0.000
Y 2.754 0.425 3.139
Ag 5.577 2.466 0.798
Ag 1.585 3.722 1.118
Se 8.544 3.778 1.222
Se 2.610 1.154 0.373
Se 5.363 1.579 3.513
Se 0.144 -0.729 2.766
```

# 8
Crystalline Si3Ag at its relaxed geometry, computed with PBE-GGA.

Results
calculated total energy: -4.3309 eV per atom
relative energy among the computed polymorphs: 0.000 eV/atom

```
8
Lattice="5.349 0.138 -1.138 -2.564 4.810 1.124 -0.854 0.491 5.376" Properties=species:S:1:pos:R:3 pbc="T T T"
Si -0.199 1.549 1.504
Si 1.414 4.336 1.492
Si -1.064 3.917 1.895
Si 2.130 3.889 3.859
Si 0.520 1.103 3.871
Si 2.997 1.522 3.465
Ag -0.453 3.573 4.474
Ag 2.383 1.867 0.886
```

# 9
Crystalline SiAg2 at its relaxed geometry, computed with PBE-GGA.

Results
calculated total energy: -3.1839 eV per atom

```
12
Lattice="1.426 1.513 -5.100 -5.344 -0.494 1.235 -0.218 8.533 2.471" Properties=species:S:1:pos:R:3 pbc="T T T"
Si -0.985 8.441 -0.829
Si -3.151 1.111 -0.565
Si -0.924 6.070 -1.515
Si -3.212 3.482 0.121
Ag 0.000 0.000 0.000
Ag -0.109 4.267 1.235
Ag -4.314 6.260 1.971
Ag 0.178 3.292 -3.365
Ag -3.604 7.002 -0.529
Ag -2.443 3.047 -2.749
Ag -0.532 2.550 -0.865
Ag -1.693 6.505 1.355
```

# 10
Crystalline Si3Ag at its relaxed geometry, computed with PBE-GGA.

Results
calculated total energy: -4.2072 eV per atom
relative energy among the computed polymorphs: 0.124 eV/atom

```
8
Lattice="0.856 4.232 -3.620 -4.510 0.050 3.377 2.512 2.332 3.320" Properties=species:S:1:pos:R:3 pbc="T T T"
Si -0.627 1.249 1.312
Si -2.596 3.556 1.181
Si -3.057 1.276 3.131
Si -0.515 5.365 1.765
Si 1.454 3.058 1.896
Si 1.915 5.338 -0.055
Ag -0.837 3.193 3.534
Ag -0.305 3.421 -0.458
```

# 11
Crystalline Si3Ag at its relaxed geometry, computed with PBE-GGA.

Results
calculated total energy: -4.2311 eV per atom
relative energy among the computed polymorphs: 0.100 eV/atom

```
4
Lattice="4.696 0.395 0.277 0.753 4.485 -1.267 -2.961 -1.606 3.308" Properties=species:S:1:pos:R:3 pbc="T T T"
Si 2.230 0.615 1.545
Si 0.258 2.660 0.773
Si 2.725 2.440 -0.495
Ag 0.000 0.000 0.000
```

# 12
Crystalline SmSi2Ag2 at its relaxed geometry, computed with PBE-GGA.

Results
calculated total energy: -4.6733 eV per atom

```
5
Lattice="-1.832 4.219 4.081 -5.560 2.611 -0.289 2.592 -5.574 -0.160" Properties=species:S:1:pos:R:3 pbc="T T T"
Sm 0.000 0.000 0.000
Si -4.492 4.150 2.304
Si -2.901 2.680 1.488
Ag -1.468 1.030 2.909
Ag -3.332 0.226 0.724
```

# 13
Crystalline SmSiAg at its relaxed geometry, computed with PBE-GGA.

Results
calculated total energy: -4.8985 eV per atom

```
9
Lattice="3.647 2.906 5.470 -5.349 -4.621 1.299 2.772 -3.244 -0.125" Properties=species:S:1:pos:R:3 pbc="T T T"
Sm 2.130 1.697 3.195
Sm -0.708 -0.713 2.815
Sm -3.125 -2.699 0.759
Si 2.034 -1.225 4.017
Si -0.965 -3.734 2.627
Si 0.000 0.000 0.000
Ag 2.293 -0.899 1.298
Ag 0.055 -2.772 0.261
Ag 0.107 -2.911 5.022
```

# 14
Crystalline TbSi2Ag2 at its relaxed geometry, computed with PBE-GGA.

Results
calculated total energy: -4.6296 eV per atom

```
5
Lattice="-2.084 2.084 5.393 2.084 -2.084 5.393 2.084 2.084 -5.393" Properties=species:S:1:pos:R:3 pbc="T T T"
Tb 0.000 0.000 0.000
Si 0.000 0.000 6.541
Si 0.000 0.000 4.246
Ag 0.000 2.084 2.697
Ag 2.084 0.000 2.697
```

# 15
Crystalline TmSiAg at its relaxed geometry, computed with PBE-GGA.

Results
calculated total energy: -4.8327 eV per atom

```
9
Lattice="-5.083 -2.608 4.064 1.355 -2.922 -6.228 2.731 -2.540 1.786" Properties=species:S:1:pos:R:3 pbc="T T T"
Tm -0.195 -3.585 -0.013
Tm -1.589 -2.786 3.256
Tm 2.154 -2.969 -2.727
Si -2.937 -2.713 0.633
Si -0.791 -2.817 -2.797
Si 1.366 -1.270 0.893
Ag -2.789 -4.137 -1.619
Ag -1.280 -0.657 1.023
Ag 0.341 -0.736 -1.568
```

# 16
Crystalline YSiAg at its relaxed geometry, computed with PBE-GGA.

Results
calculated total energy: -5.5193 eV per atom

```
9
Lattice="-1.915 3.697 5.727 -3.337 1.032 -6.159 -2.785 -3.001 1.006" Properties=species:S:1:pos:R:3 pbc="T T T"
Y -2.784 -1.070 -2.066
Y -4.454 1.256 0.251
Y -2.191 0.041 2.891
Si -2.863 1.921 -2.197
Si -2.389 2.809 1.765
Si -1.393 -1.500 0.503
Ag -2.498 0.773 -4.611
Ag -1.320 1.189 -0.109
Ag -1.433 2.767 4.287
```

# 17
Crystalline SmAg at its relaxed geometry, computed with PBE-GGA.

Results
calculated total energy: -4.0527 eV per atom

```
2
Lattice="-0.077 -3.138 1.994 -0.848 -1.927 -3.065 3.620 -0.518 -0.676" Properties=species:S:1:pos:R:3 pbc="T T T"
Sm 1.348 -2.791 -0.873
Ag 0.000 0.000 0.000
```